No. 1
A relaxed La2Ni12P5 crystal. Source: the Materials Project database, functional r2SCAN.

```
38
Lattice="10.867 0.000 0.000 0.000 3.666 0.000 -4.008 0.000 12.441" Properties=species:S:1:pos:R:3 pbc="T T T"
La 1.666 0.916 2.282
La -0.019 0.916 8.555
La 6.878 2.749 3.887
La 5.192 2.749 10.159
Ni -0.543 2.749 3.685
Ni -3.124 2.749 12.314
Ni -1.084 2.749 6.098
Ni -2.193 2.749 10.017
Ni 0.519 0.916 5.201
Ni -1.435 0.916 11.679
Ni 3.499 2.749 0.767
Ni 2.292 2.749 4.546
Ni 2.592 0.916 6.391
Ni 0.925 0.916 11.805
Ni 2.704 2.749 8.085
Ni 1.987 2.749 10.468
Ni 4.871 0.916 1.974
Ni 4.155 0.916 4.357
Ni 5.933 2.749 0.637
Ni 4.266 2.749 6.051
Ni 4.567 0.916 7.896
Ni 3.360 0.916 11.674
Ni 8.293 2.749 0.762
Ni 6.340 2.749 7.241
Ni 9.052 0.916 2.425
Ni 7.943 0.916 6.344
Ni 9.982 0.916 0.127
Ni 7.401 0.916 8.757
P -2.450 2.749 7.818
P -3.422 0.916 10.940
P 1.195 2.749 6.405
P -0.177 2.749 11.062
P 3.949 2.749 2.996
P 2.909 0.916 9.446
P 7.036 0.916 1.379
P 5.664 0.916 6.036
P 10.281 2.749 1.501
P 9.308 0.916 4.623
```

Calculated values
Symmetry: P2_1/m (11)
Total moment in μB per formula unit: 0.0
Energy of formation from the pure elements in eV/atom: -0.7060

=====

No. 2
A relaxed LaNiP crystal. Source: the Materials Project database, functional r2SCAN.

```
12
Lattice="4.012 0.000 0.000 -2.006 3.475 0.000 0.000 0.000 16.459" Properties=species:S:1:pos:R:3 pbc="T T T"
La 0.000 0.000 0.000
La 0.000 0.000 4.115
La 0.000 0.000 8.230
La 0.000 0.000 12.344
Ni 0.000 2.316 2.036
Ni 0.000 2.316 6.194
Ni 2.006 1.158 10.266
Ni 2.006 1.158 14.423
P 0.000 2.316 10.295
P 0.000 2.316 14.393
P 2.006 1.158 2.066
P 2.006 1.158 6.164
```

Calculated values
Symmetry: P6_3/mmc (194)
Total moment in μB per formula unit: 0.0
Energy of formation from the pure elements in eV/atom: -1.2613

=====

No. 3
A relaxed La12Ni6Pb crystal. Source: the Materials Project database, functional r2SCAN.

```
19
Lattice="-5.123 5.123 5.123 5.123 -5.123 5.123 5.123 5.123 -5.123" Properties=species:S:1:pos:R:3 pbc="T T T"
La 5.123 3.256 -1.919
La 3.204 0.000 1.867
La 7.042 0.000 1.867
La 1.867 3.204 0.000
La 3.256 -1.919 5.123
La 0.000 1.867 3.204
La 5.123 3.256 1.919
La 1.867 7.042 0.000
La 3.256 1.919 5.123
La -1.919 5.123 3.256
La 1.919 5.123 3.256
La 0.000 1.867 7.042
Ni 5.123 1.281 0.000
Ni 5.123 0.000 3.842
Ni 3.842 5.123 0.000
Ni 1.281 0.000 5.123
Ni 0.000 5.123 1.281
Ni 0.000 3.842 5.123
Pb 0.000 0.000 0.000
```

Calculated values
Symmetry: Im-3 (204)
Total moment in μB per formula unit: 0.0
Energy of formation from the pure elements in eV/atom: -0.3145

=====

> What is the energy of formation from the pure elements in the second record?

-1.2613 eV/atom

=====

> Which of these has the lowest energy of formation from the pure elements?

LaNiP

=====

> Which formula does entry 2 have?

LaNiP